{"formula": "La3BeSbS7", "functional": "PBE", "state": "relaxed", "mass_density_g_cm3": 4.467, "space_group": "P6_3", "formation_energy_ev_per_atom": -1.7992, "lattice_angstrom": [[10.295, 0.000, 0.000], [-5.147, 8.916, 0.000], [0.000, 0.000, 6.253]], "species": ["La", "La", "La", "La", "La", "La", "Be", "Be", "Sb", "Sb", "S", "S", "S", "S", "S", "S", "S", "S", "S", "S", "S", "S", "S", "S"], "fractional_positions": [[0.137, 0.396, 0.000], [0.259, 0.863, 0.000], [0.396, 0.259, 0.500], [0.604, 0.741, 0.000], [0.741, 0.137, 0.500], [0.863, 0.604, 0.500], [0.333, 0.667, 0.414], [0.667, 0.333, 0.914], [0.000, 0.000, 0.244], [0.000, 0.000, 0.744], [0.088, 0.251, 0.540], [0.116, 0.596, 0.281], [0.163, 0.912, 0.540], [0.251, 0.163, 0.040], [0.333, 0.667, 0.761], [0.404, 0.520, 0.281], [0.480, 0.884, 0.281], [0.520, 0.116, 0.781], [0.596, 0.480, 0.781], [0.667, 0.333, 0.261], [0.749, 0.837, 0.540], [0.837, 0.088, 0.040], [0.884, 0.404, 0.781], [0.912, 0.749, 0.040]]}

{"formula": "LiBe", "functional": "PBE", "state": "relaxed", "mass_density_g_cm3": 1.158, "space_group": "P2_1/m", "e_above_lowest_polymorph_ev_per_atom": 0.0000, "formation_energy_ev_per_atom": 0.1622, "lattice_angstrom": [[2.296, 0.000, 0.000], [0.000, 3.613, 0.000], [-0.402, 0.000, 5.514]], "species": ["Li", "Li", "Be", "Be"], "fractional_positions": [[0.237, 0.250, 0.155], [0.763, 0.750, 0.845], [0.256, 0.250, 0.576], [0.744, 0.750, 0.424]]}

{"formula": "LiBe", "functional": "PBE", "state": "relaxed", "mass_density_g_cm3": 1.188, "space_group": "P2_1/m", "e_above_lowest_polymorph_ev_per_atom": 0.0048, "formation_energy_ev_per_atom": 0.1670, "lattice_angstrom": [[2.259, 0.000, 0.000], [0.000, 3.721, 0.000], [-0.994, 0.000, 5.306]], "species": ["Li", "Li", "Be", "Be"], "fractional_positions": [[0.159, 0.250, 0.150], [0.841, 0.750, 0.850], [0.277, 0.250, 0.584], [0.723, 0.750, 0.416]]}

{"formula": "LiBe", "functional": "PBE", "state": "relaxed", "mass_density_g_cm3": 1.192, "space_group": "Pm-3m", "e_above_lowest_polymorph_ev_per_atom": 0.2038, "formation_energy_ev_per_atom": 0.3660, "lattice_angstrom": [[2.811, 0.000, 0.000], [0.000, 2.811, 0.000], [0.000, 0.000, 2.811]], "species": ["Li", "Be"], "fractional_positions": [[0.000, 0.000, 0.000], [0.500, 0.500, 0.500]]}

{"formula": "LiBeO3", "functional": "PBE", "state": "relaxed", "mass_density_g_cm3": 2.462, "space_group": "Pm-3m", "formation_energy_ev_per_atom": -1.3466, "lattice_angstrom": [[3.507, 0.000, 0.000], [0.000, 3.507, 0.000], [0.000, 0.000, 3.507]], "species": ["Li", "Be", "O", "O", "O"], "fractional_positions": [[0.000, 0.000, 0.000], [0.500, 0.500, 0.500], [0.000, 0.500, 0.500], [0.500, 0.000, 0.500], [0.500, 0.500, 0.000]]}

{"formula": "LiBePO5", "functional": "PBE", "state": "relaxed", "mass_density_g_cm3": 2.289, "space_group": "Pna2_1", "formation_energy_ev_per_atom": -2.2754, "lattice_angstrom": [[9.804, 0.000, 0.000], [0.000, 7.853, 0.000], [0.000, 0.000, 4.785]], "species": ["Li", "Li", "Li", "Li", "Be", "Be", "Be", "Be", "P", "P", "P", "P", "O", "O", "O", "O", "O", "O", "O", "O", "O", "O", "O", "O", "O", "O", "O", "O", "O", "O", "O", "O"], "fractional_positions": [[0.184, 0.208, 0.000], [0.316, 0.708, 0.500], [0.684, 0.292, 0.000], [0.816, 0.792, 0.500], [0.146, 0.392, 0.495], [0.354, 0.892, 0.995], [0.646, 0.108, 0.495], [0.854, 0.608, 0.995], [0.157, 0.599, 0.994], [0.343, 0.099, 0.494], [0.657, 0.901, 0.994], [0.843, 0.401, 0.494], [0.004, 0.086, 0.982], [0.011, 0.665, 0.949], [0.178, 0.432, 0.823], [0.185, 0.560, 0.307], [0.240, 0.232, 0.390], [0.260, 0.732, 0.890], [0.315, 0.060, 0.807], [0.322, 0.932, 0.323], [0.489, 0.165, 0.449], [0.496, 0.586, 0.482], [0.504, 0.414, 0.982], [0.511, 0.835, 0.949], [0.678, 0.068, 0.823], [0.685, 0.940, 0.307], [0.740, 0.268, 0.390], [0.760, 0.768, 0.890], [0.815, 0.440, 0.807], [0.822, 0.568, 0.323], [0.989, 0.335, 0.449], [0.996, 0.914, 0.482]]}

{"formula": "Li8Be6P7O29", "functional": "PBE", "state": "relaxed", "mass_density_g_cm3": 2.373, "space_group": "Cc", "formation_energy_ev_per_atom": -2.7457, "lattice_angstrom": [[5.841, -10.128, 0.000], [5.841, 10.128, 0.000], [-0.032, 0.000, 9.350]], "species": ["Li", "Li", "Li", "Li", "Li", "Li", "Li", "Li", "Li", "Li", "Li", "Li", "Li", "Li", "Li", "Li", "Be", "Be", "Be", "Be", "Be", "Be", "Be", "Be", "Be", "Be", "Be", "Be", "P", "P", "P", "P", "P", "P", "P", "P", "P", "P", "P", "P", "P", "P", "O", "O", "O", "O", "O", "O", "O", "O", "O", "O", "O", "O", "O", "O", "O", "O", "O", "O", "O", "O", "O", "O", "O", "O", "O", "O", "O", "O", "O", "O", "O", "O", "O", "O", "O", "O", "O", "O", "O", "O", "O", "O", "O", "O", "O", "O", "O", "O", "O", "O", "O", "O", "O", "O", "O", "O", "O", "O"], "fractional_positions": [[0.000, 0.000, 0.000], [0.000, 0.000, 0.500], [0.101, 0.554, 0.598], [0.174, 0.827, 0.793], [0.176, 0.349, 0.793], [0.333, 0.667, 0.171], [0.349, 0.176, 0.293], [0.446, 0.546, 0.597], [0.455, 0.901, 0.596], [0.546, 0.446, 0.097], [0.554, 0.101, 0.098], [0.651, 0.827, 0.793], [0.667, 0.333, 0.671], [0.827, 0.174, 0.293], [0.827, 0.651, 0.293], [0.901, 0.455, 0.096], [0.000, 0.254, 0.545], [0.001, 0.255, 0.045], [0.089, 0.671, 0.296], [0.254, 0.000, 0.045], [0.255, 0.001, 0.545], [0.329, 0.418, 0.296], [0.418, 0.329, 0.796], [0.582, 0.911, 0.296], [0.671, 0.089, 0.796], [0.745, 0.746, 0.045], [0.746, 0.745, 0.545], [0.911, 0.582, 0.796], [0.000, 0.749, 0.545], [0.001, 0.750, 0.045], [0.086, 0.422, 0.297], [0.251, 0.251, 0.045], [0.251, 0.251, 0.545], [0.334, 0.666, 0.789], [0.337, 0.915, 0.296], [0.422, 0.086, 0.797], [0.578, 0.663, 0.296], [0.663, 0.578, 0.796], [0.666, 0.334, 0.289], [0.749, 0.000, 0.045], [0.750, 0.001, 0.545], [0.915, 0.337, 0.796], [0.000, 0.000, 0.272], [0.000, 0.000, 0.772], [0.005, 0.290, 0.214], [0.005, 0.724, 0.207], [0.045, 0.522, 0.242], [0.050, 0.667, 0.465], [0.052, 0.394, 0.458], [0.095, 0.900, 0.523], [0.100, 0.195, 0.523], [0.138, 0.853, 0.988], [0.147, 0.285, 0.988], [0.195, 0.100, 0.023], [0.236, 0.484, 0.271], [0.248, 0.764, 0.270], [0.254, 0.729, 0.730], [0.274, 0.525, 0.729], [0.276, 0.281, 0.207], [0.281, 0.276, 0.707], [0.285, 0.147, 0.488], [0.286, 0.996, 0.214], [0.290, 0.005, 0.714], [0.329, 0.665, 0.954], [0.334, 0.383, 0.465], [0.342, 0.948, 0.458], [0.383, 0.334, 0.965], [0.394, 0.052, 0.958], [0.474, 0.747, 0.723], [0.477, 0.955, 0.242], [0.478, 0.523, 0.242], [0.484, 0.236, 0.771], [0.516, 0.752, 0.271], [0.522, 0.045, 0.742], [0.523, 0.478, 0.742], [0.525, 0.274, 0.229], [0.606, 0.658, 0.458], [0.617, 0.950, 0.465], [0.658, 0.606, 0.958], [0.665, 0.329, 0.454], [0.667, 0.050, 0.965], [0.710, 0.714, 0.214], [0.714, 0.710, 0.714], [0.715, 0.861, 0.988], [0.719, 0.996, 0.207], [0.724, 0.005, 0.707], [0.729, 0.254, 0.230], [0.747, 0.474, 0.223], [0.752, 0.516, 0.771], [0.764, 0.248, 0.770], [0.805, 0.906, 0.523], [0.853, 0.138, 0.488], [0.861, 0.715, 0.488], [0.900, 0.095, 0.023], [0.906, 0.805, 0.023], [0.948, 0.342, 0.958], [0.950, 0.617, 0.965], [0.955, 0.477, 0.742], [0.996, 0.286, 0.714], [0.996, 0.719, 0.707]]}

{"formula": "LiBe2Rh", "functional": "PBE", "state": "relaxed", "mass_density_g_cm3": 4.537, "space_group": "Immm", "formation_energy_ev_per_atom": 0.3582, "lattice_angstrom": [[-1.311, 2.000, 4.463], [1.311, -2.000, 4.463], [1.311, 2.000, -4.463]], "species": ["Li", "Be", "Be", "Rh"], "fractional_positions": [[0.000, 0.000, 0.000], [0.254, 0.254, 0.000], [0.746, 0.746, 0.000], [0.500, 0.500, 0.000]]}

{"formula": "LiTaBe", "functional": "PBE", "state": "relaxed", "mass_density_g_cm3": 6.810, "space_group": "F-43m", "formation_energy_ev_per_atom": 1.3171, "lattice_angstrom": [[0.000, 2.885, 2.885], [2.885, 0.000, 2.885], [2.885, 2.885, 0.000]], "species": ["Li", "Ta", "Be"], "fractional_positions": [[0.000, 0.000, 0.000], [0.750, 0.750, 0.750], [0.500, 0.500, 0.500]]}

{"formula": "LuBe13", "functional": "PBE", "state": "relaxed", "mass_density_g_cm3": 3.756, "space_group": "Fm-3c", "formation_energy_ev_per_atom": -0.1812, "lattice_angstrom": [[0.000, 5.055, 5.055], [5.055, 0.000, 5.055], [5.055, 5.055, 0.000]], "species": ["Lu", "Lu", "Be", "Be", "Be", "Be", "Be", "Be", "Be", "Be", "Be", "Be", "Be", "Be", "Be", "Be", "Be", "Be", "Be", "Be", "Be", "Be", "Be", "Be", "Be", "Be", "Be", "Be"], "fractional_positions": [[0.250, 0.250, 0.250], [0.750, 0.750, 0.750], [0.000, 0.000, 0.000], [0.062, 0.291, 0.709], [0.062, 0.709, 0.938], [0.062, 0.938, 0.291], [0.209, 0.438, 0.791], [0.209, 0.562, 0.438], [0.209, 0.791, 0.562], [0.291, 0.062, 0.938], [0.291, 0.709, 0.062], [0.291, 0.938, 0.709], [0.438, 0.209, 0.562], [0.438, 0.562, 0.791], [0.438, 0.791, 0.209], [0.500, 0.500, 0.500], [0.562, 0.209, 0.791], [0.562, 0.438, 0.209], [0.562, 0.791, 0.438], [0.709, 0.062, 0.291], [0.709, 0.291, 0.938], [0.709, 0.938, 0.062], [0.791, 0.209, 0.438], [0.791, 0.438, 0.562], [0.791, 0.562, 0.209], [0.938, 0.062, 0.709], [0.938, 0.291, 0.062], [0.938, 0.709, 0.291]]}

{"formula": "MgBe13", "functional": "PBE", "state": "relaxed", "mass_density_g_cm3": 1.832, "space_group": "Fm-3c", "formation_energy_ev_per_atom": -0.0016, "lattice_angstrom": [[0.000, 5.043, 5.043], [5.043, 0.000, 5.043], [5.043, 5.043, 0.000]], "species": ["Mg", "Mg", "Be", "Be", "Be", "Be", "Be", "Be", "Be", "Be", "Be", "Be", "Be", "Be", "Be", "Be", "Be", "Be", "Be", "Be", "Be", "Be", "Be", "Be", "Be", "Be", "Be", "Be"], "fractional_positions": [[0.250, 0.250, 0.250], [0.750, 0.750, 0.750], [0.000, 0.000, 0.000], [0.065, 0.290, 0.710], [0.065, 0.710, 0.935], [0.065, 0.935, 0.290], [0.210, 0.435, 0.790], [0.210, 0.565, 0.435], [0.210, 0.790, 0.565], [0.290, 0.065, 0.935], [0.290, 0.710, 0.065], [0.290, 0.935, 0.710], [0.435, 0.210, 0.565], [0.435, 0.565, 0.790], [0.435, 0.790, 0.210], [0.500, 0.500, 0.500], [0.565, 0.210, 0.790], [0.565, 0.435, 0.210], [0.565, 0.790, 0.435], [0.710, 0.065, 0.290], [0.710, 0.290, 0.935], [0.710, 0.935, 0.065], [0.790, 0.210, 0.435], [0.790, 0.435, 0.565], [0.790, 0.565, 0.210], [0.935, 0.065, 0.710], [0.935, 0.290, 0.065], [0.935, 0.710, 0.290]]}

{"formula": "MgBe3", "functional": "PBE", "state": "relaxed", "mass_density_g_cm3": 1.815, "space_group": "P6_3/mmc", "formation_energy_ev_per_atom": 0.2389, "lattice_angstrom": [[5.468, 0.000, 0.000], [-2.734, 4.735, 0.000], [0.000, 0.000, 3.628]], "species": ["Mg", "Mg", "Be", "Be", "Be", "Be", "Be", "Be"], "fractional_positions": [[0.333, 0.667, 0.250], [0.667, 0.333, 0.750], [0.132, 0.263, 0.750], [0.132, 0.868, 0.750], [0.263, 0.132, 0.250], [0.737, 0.868, 0.750], [0.868, 0.132, 0.250], [0.868, 0.737, 0.250]]}

{"formula": "MgBeO3", "functional": "PBE", "state": "relaxed", "mass_density_g_cm3": 3.175, "space_group": "Pm-3m", "formation_energy_ev_per_atom": -1.8126, "lattice_angstrom": [[3.491, 0.000, 0.000], [0.000, 3.491, 0.000], [0.000, 0.000, 3.491]], "species": ["Mg", "Be", "O", "O", "O"], "fractional_positions": [[0.000, 0.000, 0.000], [0.500, 0.500, 0.500], [0.000, 0.500, 0.500], [0.500, 0.000, 0.500], [0.500, 0.500, 0.000]]}

{"formula": "Be22Mo", "functional": "PBE", "state": "relaxed", "mass_density_g_cm3": 2.528, "space_group": "Fd-3m", "formation_energy_ev_per_atom": -0.0523, "lattice_angstrom": [[0.000, 5.782, 5.782], [5.782, 0.000, 5.782], [5.782, 5.782, 0.000]], "species": ["Be", "Be", "Be", "Be", "Be", "Be", "Be", "Be", "Be", "Be", "Be", "Be", "Be", "Be", "Be", "Be", "Be", "Be", "Be", "Be", "Be", "Be", "Be", "Be", "Be", "Be", "Be", "Be", "Be", "Be", "Be", "Be", "Be", "Be", "Be", "Be", "Be", "Be", "Be", "Be", "Be", "Be", "Be", "Be", "Mo", "Mo"], "fractional_positions": [[0.000, 0.000, 0.000], [0.000, 0.000, 0.500], [0.000, 0.500, 0.000], [0.000, 0.500, 0.500], [0.010, 0.010, 0.740], [0.010, 0.740, 0.010], [0.010, 0.740, 0.740], [0.176, 0.176, 0.444], [0.176, 0.176, 0.705], [0.176, 0.444, 0.176], [0.176, 0.444, 0.705], [0.176, 0.705, 0.176], [0.176, 0.705, 0.444], [0.260, 0.260, 0.990], [0.260, 0.990, 0.260], [0.260, 0.990, 0.990], [0.295, 0.556, 0.824], [0.295, 0.824, 0.556], [0.295, 0.824, 0.824], [0.444, 0.176, 0.176], [0.444, 0.176, 0.705], [0.444, 0.705, 0.176], [0.500, 0.000, 0.000], [0.500, 0.000, 0.500], [0.500, 0.500, 0.000], [0.500, 0.500, 0.500], [0.556, 0.295, 0.824], [0.556, 0.824, 0.295], [0.556, 0.824, 0.824], [0.705, 0.176, 0.176], [0.705, 0.176, 0.444], [0.705, 0.444, 0.176], [0.740, 0.010, 0.010], [0.740, 0.010, 0.740], [0.740, 0.740, 0.010], [0.824, 0.295, 0.556], [0.824, 0.295, 0.824], [0.824, 0.556, 0.295], [0.824, 0.556, 0.824], [0.824, 0.824, 0.295], [0.824, 0.824, 0.556], [0.990, 0.260, 0.260], [0.990, 0.260, 0.990], [0.990, 0.990, 0.260], [0.375, 0.375, 0.375], [0.625, 0.625, 0.625]]}

{"formula": "BeMo3", "functional": "PBE", "state": "relaxed", "mass_density_g_cm3": 8.617, "space_group": "Pm-3n", "formation_energy_ev_per_atom": 0.0017, "lattice_angstrom": [[4.854, 0.000, 0.000], [0.000, 4.854, 0.000], [0.000, 0.000, 4.854]], "species": ["Be", "Be", "Mo", "Mo", "Mo", "Mo", "Mo", "Mo"], "fractional_positions": [[0.000, 0.000, 0.000], [0.500, 0.500, 0.500], [0.000, 0.250, 0.500], [0.000, 0.750, 0.500], [0.250, 0.500, 0.000], [0.500, 0.000, 0.250], [0.500, 0.000, 0.750], [0.750, 0.500, 0.000]]}